KNa7V6Mo2O24 | PBE with a Hubbard U | relaxed

POSCAR file:
```
KNa7V6Mo2O24
1.0
7.679 0.000 0.000
0.000 5.412 5.416
0.000 -5.412 5.416
K Na V Mo O
1 7 6 2 24
Cartesian
0.000 0.000 0.000
0.000 0.000 5.576
0.000 -2.604 8.180
0.000 2.604 8.180
3.839 0.000 5.574
3.839 -2.605 8.182
3.839 2.605 8.182
3.839 0.000 10.786
1.928 -2.691 5.475
1.928 2.691 5.475
1.928 0.000 8.175
5.751 -2.691 5.475
5.751 2.691 5.475
5.750 0.000 8.175
1.925 0.000 2.772
5.754 0.000 2.772
0.000 0.000 2.788
0.000 -2.677 5.474
0.000 0.000 8.144
0.000 2.677 5.474
1.928 -1.348 4.126
1.928 1.348 4.126
1.930 -1.350 6.819
1.930 1.350 6.819
1.938 -1.364 1.427
1.938 1.364 1.427
1.943 -4.045 4.100
1.943 4.045 4.100
3.839 -2.697 5.475
3.839 0.000 2.779
3.839 0.000 8.165
3.839 2.697 5.475
5.736 -4.045 4.100
5.736 4.045 4.100
5.741 -1.364 1.427
5.741 1.364 1.427
5.751 -1.348 4.126
5.751 1.348 4.126
5.749 -1.350 6.819
5.749 1.350 6.819
```

Output
Corrected total energy (MP2020 scheme) = -0.53842 Ry/atom
Formation energy = -2.19 eV per atom
Raw total energy = -6.498 eV/atom
Symmetry = Amm2, No. 38

***

K2Na2Mo3WO10 | PBE with a Hubbard U | relaxed

POSCAR file:
```
K2Na2Mo3WO10
1.0
11.525 0.000 0.000
-0.017 11.750 0.000
-5.745 -5.862 15.459
K Na Mo W O
16 16 24 8 80
Cartesian
0.000 0.000 0.000
-0.001 5.837 0.007
-2.899 2.680 11.059
-0.005 -0.283 3.488
-2.892 -3.170 15.452
2.866 8.541 0.023
2.866 8.816 3.481
0.001 5.863 15.430
0.010 -0.026 15.454
2.874 -3.203 11.045
2.875 2.658 11.052
5.758 5.594 3.455
8.622 8.568 0.034
8.645 2.676 0.020
5.747 0.020 11.042
8.645 8.837 3.477
-2.869 -2.910 7.893
-2.839 3.025 7.837
-2.866 -3.236 10.926
0.004 5.577 3.261
0.008 5.532 7.857
0.022 -0.299 7.884
0.025 0.037 10.933
0.015 5.917 10.919
2.906 2.967 3.273
2.890 2.993 7.838
2.932 -2.876 7.870
5.785 -0.295 3.282
5.773 -0.321 7.859
5.775 5.569 7.869
5.772 5.899 10.912
8.653 2.958 3.269
-3.011 5.763 9.363
-2.993 -0.155 9.375
-0.084 2.816 1.755
-0.092 8.663 1.765
-2.520 5.481 13.178
-2.497 -0.537 13.185
-0.129 -3.060 9.404
-0.127 2.804 9.359
2.799 -0.125 1.747
2.799 5.721 1.751
0.287 -2.722 13.228
0.313 3.198 13.211
2.725 5.732 9.357
2.761 -0.132 9.336
5.659 2.783 1.777
5.675 8.694 1.745
3.206 -0.516 13.261
3.231 5.424 13.215
5.644 -3.084 9.349
5.652 2.832 9.333
8.555 5.722 1.744
8.559 -0.118 1.777
6.095 3.256 13.253
6.160 -2.773 13.176
0.414 2.502 5.585
0.364 8.266 5.722
3.229 6.062 5.647
3.330 0.299 5.611
6.149 8.316 5.659
6.197 2.409 5.606
9.027 0.296 5.707
9.070 6.045 5.575
-3.128 6.234 11.520
-3.096 0.190 11.505
-0.143 3.207 3.893
-3.494 -2.303 13.013
-0.121 8.849 3.914
-3.570 3.756 13.262
-0.525 6.418 5.533
-0.578 0.726 5.871
-1.569 7.238 9.126
-1.538 1.294 9.128
1.358 10.126 1.583
1.370 4.270 1.632
-1.532 4.333 9.591
-1.546 -1.603 9.696
1.353 7.171 1.940
1.383 1.383 1.922
-0.247 -2.573 7.285
-0.246 3.237 7.280
-2.941 0.050 14.964
-2.940 5.986 15.004
-0.209 -3.545 11.543
-0.131 2.351 11.522
2.725 -0.354 3.881
-0.664 4.968 12.986
-0.611 -0.918 13.024
2.773 5.373 3.906
2.346 2.103 5.556
2.282 7.860 5.881
1.300 7.224 9.106
1.330 1.345 9.096
4.233 4.254 1.598
1.309 -1.578 9.579
1.294 4.283 9.602
4.257 10.174 1.606
4.240 1.322 1.961
4.253 7.196 1.895
2.557 5.243 7.283
2.682 -0.558 7.223
-0.136 -3.295 15.009
-0.132 2.596 14.979
2.585 6.044 11.512
5.494 3.034 3.905
2.694 0.125 11.508
2.143 -2.220 13.243
2.171 3.708 13.252
5.701 9.019 3.902
5.129 6.552 5.815
5.286 0.573 5.603
4.218 1.341 9.048
4.205 7.187 9.098
7.109 10.165 1.606
7.137 4.232 1.608
4.226 -1.585 9.525
4.228 4.317 9.540
7.114 1.339 1.971
7.133 7.219 1.898
5.503 -2.583 7.275
5.576 3.271 7.227
2.797 0.127 15.025
2.820 5.987 15.022
5.605 -3.552 11.511
5.620 2.534 11.517
8.467 -0.310 3.930
5.104 5.016 13.021
5.044 -1.077 13.233
8.529 5.325 3.884
8.157 2.146 5.547
8.044 7.814 5.851
7.108 1.365 9.034
7.077 7.224 9.130
10.007 10.162 1.596
10.012 4.278 1.620
7.075 4.312 9.599
7.129 -1.650 9.564
9.994 1.366 1.963
10.025 7.164 1.922
8.440 -0.649 7.269
8.423 5.322 7.278
5.658 2.577 14.987
5.712 -3.260 15.000
```

Output
Corrected total energy (MP2020 scheme) = -0.54150 Ry/atom
Formation energy = -1.82 eV per atom
Raw total energy = -6.206 eV/atom
Symmetry = P1, No. 1

***

K4Na4Mo3W5O24 | PBE with a Hubbard U | relaxed

POSCAR file:
```
K4Na4Mo3W5O24
1.0
7.989 0.000 0.000
0.000 8.035 0.000
0.000 0.000 8.030
K Na Mo W O
4 4 3 5 24
Cartesian
1.951 1.986 0.000
1.951 6.049 0.000
6.038 1.986 0.000
6.038 6.049 0.000
1.938 1.978 3.961
1.938 6.057 3.961
6.051 1.978 3.961
6.051 6.057 3.961
0.000 0.000 2.006
0.000 0.000 5.985
0.000 4.017 2.001
0.000 4.017 5.972
3.995 0.000 2.004
3.995 0.000 5.976
3.995 4.017 2.008
3.995 4.017 5.983
0.000 0.000 4.003
0.000 0.000 8.002
0.000 2.018 2.041
0.000 2.104 5.947
0.000 4.017 4.070
0.000 4.017 7.892
0.000 5.930 5.947
0.000 6.017 2.041
2.041 4.017 5.960
2.063 0.000 5.957
2.063 4.017 2.028
2.093 0.000 2.031
3.995 0.000 4.041
3.995 0.000 7.940
3.995 1.976 5.955
3.995 2.066 2.029
3.995 4.017 0.020
3.995 4.017 3.967
3.995 5.969 2.029
3.995 6.059 5.955
5.896 0.000 2.031
5.926 0.000 5.957
5.926 4.017 2.028
5.948 4.017 5.960
```

Output
Corrected total energy (MP2020 scheme) = -0.57423 Ry/atom
Formation energy = -2.17 eV per atom
Raw total energy = -6.606 eV/atom
Symmetry = Pmm2, No. 25

***

K4Na4Mo5W3O24 | PBE with a Hubbard U | relaxed

POSCAR file:
```
K4Na4Mo5W3O24
1.0
7.996 0.000 0.000
0.000 8.047 0.000
0.000 0.000 7.993
K Na Mo W O
4 4 5 3 24
Cartesian
1.982 1.987 0.000
1.982 6.061 0.000
6.014 1.987 0.000
6.014 6.061 0.000
1.979 1.987 3.959
1.979 6.061 3.959
6.017 1.987 3.959
6.017 6.061 3.959
0.000 0.000 2.003
0.000 0.000 5.961
0.000 4.024 1.991
3.998 0.000 1.996
3.998 0.000 5.963
0.000 4.024 5.957
3.998 4.024 1.999
3.998 4.024 5.962
0.000 0.000 0.036
0.000 0.000 3.940
0.000 1.927 2.018
0.000 2.079 5.941
0.000 4.024 4.007
0.000 4.024 7.926
0.000 5.969 5.941
0.000 6.121 2.018
1.903 0.000 5.942
1.954 0.000 2.016
1.947 4.024 5.944
2.037 4.024 2.013
3.998 0.000 0.088
3.998 0.000 3.891
3.998 2.079 2.016
3.998 2.112 5.940
3.998 4.024 0.041
3.998 4.024 3.933
3.998 5.935 5.940
3.998 5.969 2.016
5.958 4.024 2.013
6.042 0.000 2.016
6.048 4.024 5.944
6.093 0.000 5.942
```

Output
Corrected total energy (MP2020 scheme) = -0.56373 Ry/atom
Formation energy = -2.13 eV per atom
Raw total energy = -6.525 eV/atom
Symmetry = Pmm2, No. 25

***

K4Na4MoW7O20 | PBE with a Hubbard U | relaxed

POSCAR file:
```
K4Na4MoW7O20
1.0
11.626 0.000 0.000
-0.091 11.739 0.000
-5.716 -5.679 15.555
K Na Mo W O
16 16 4 28 80
Cartesian
0.000 0.000 0.000
-0.026 5.864 0.016
-2.933 2.825 11.146
-0.004 -0.222 3.512
-2.864 -2.955 15.538
2.820 8.602 0.039
2.814 8.863 3.517
0.015 6.047 15.512
5.794 5.823 0.008
2.895 -3.022 11.083
2.887 2.803 11.115
5.794 5.635 3.509
2.945 -2.952 15.527
8.675 8.631 0.055
5.787 0.184 11.122
8.705 8.906 3.523
-2.866 -2.776 7.917
-2.887 3.151 7.874
-2.893 -3.075 10.948
-0.040 5.709 3.282
-0.027 5.659 7.865
0.019 -0.135 7.883
-0.019 6.013 10.951
0.069 0.143 11.005
2.924 2.977 3.317
2.882 3.111 7.885
2.974 -2.727 7.887
5.821 -0.190 3.302
5.809 -0.148 7.886
5.794 5.708 7.861
5.792 6.029 10.900
8.723 3.037 3.312
-0.114 8.704 1.796
2.826 -0.080 1.741
2.807 5.756 1.769
8.649 -0.080 1.764
-3.063 5.903 9.387
-3.011 -0.016 9.418
-0.094 2.863 1.788
-2.493 -0.362 13.286
-2.522 5.805 13.272
0.307 8.341 5.778
0.430 2.615 5.646
-0.090 -2.919 9.384
-0.142 2.940 9.410
0.170 -2.748 13.257
0.280 3.318 13.325
3.195 6.154 5.647
3.365 0.422 5.601
2.715 5.875 9.350
2.797 0.015 9.360
5.700 2.816 1.765
5.672 8.731 1.797
3.180 -0.359 13.365
3.240 5.604 13.227
6.165 8.401 5.721
6.253 2.516 5.647
5.727 -2.932 9.371
5.696 2.983 9.372
8.608 5.780 1.774
6.203 -2.625 13.238
6.167 3.453 13.331
9.085 0.428 5.723
9.121 6.143 5.604
-3.109 0.259 11.534
-3.141 6.373 11.509
-3.569 -2.122 13.021
-0.210 3.124 3.858
-3.610 4.011 13.341
-0.170 8.894 3.969
-0.622 0.878 5.823
-0.570 6.478 5.565
-1.620 7.367 9.112
-1.561 1.442 9.147
1.280 4.235 1.711
-1.568 4.454 9.611
1.335 10.181 1.660
-1.538 -1.477 9.735
1.306 7.246 1.958
1.377 1.455 1.950
-0.249 -2.407 7.279
-0.202 3.399 7.301
-2.955 6.126 15.178
-2.863 0.222 15.083
-0.714 5.087 13.054
-0.126 2.514 11.570
-0.028 -3.415 11.481
2.770 -0.273 3.893
-0.610 -0.796 13.226
2.790 5.395 3.932
2.353 2.216 5.630
2.231 7.934 5.937
1.270 7.354 9.064
1.335 1.489 9.121
1.340 -1.436 9.559
1.284 4.422 9.650
4.268 10.185 1.676
4.276 1.355 1.907
4.329 4.197 1.710
4.352 7.306 1.864
2.512 5.349 7.278
2.725 -0.403 7.241
-0.082 2.854 15.201
-0.049 -2.917 15.260
2.025 -2.027 13.253
2.640 6.193 11.484
5.533 2.978 3.878
2.748 0.213 11.521
2.121 3.898 13.357
5.642 8.906 3.878
5.095 6.666 5.784
5.319 0.687 5.574
4.199 7.336 9.083
4.254 1.490 9.065
7.031 10.105 1.691
4.236 4.455 9.520
7.085 1.472 1.911
4.286 -1.442 9.538
7.184 4.269 1.690
7.164 7.260 1.915
5.653 -2.403 7.280
5.682 3.408 7.242
2.873 0.336 15.144
2.852 6.120 15.092
5.642 2.775 11.551
5.723 -3.384 11.535
8.492 -0.180 3.963
5.024 -0.953 13.383
5.117 5.217 13.002
8.578 5.408 3.920
8.208 2.282 5.577
8.048 7.893 5.900
7.162 1.508 9.067
7.094 7.357 9.118
7.115 4.457 9.628
10.081 4.331 1.667
7.200 -1.506 9.593
10.086 10.153 1.641
10.156 1.509 1.865
10.079 7.204 1.947
8.466 5.421 7.294
8.548 -0.509 7.309
5.810 2.801 15.092
5.858 -2.962 15.181
```

Output
Corrected total energy (MP2020 scheme) = -0.56248 Ry/atom
Formation energy = -1.81 eV per atom
Raw total energy = -6.319 eV/atom
Symmetry = P1, No. 1

***

Which of these has the highest corrected total energy (MP2020 scheme)? KNa7V6Mo2O24

***

Which formula does entry 1 have? KNa7V6Mo2O24

***

Among the records above, which one has the highest formation energy? K4Na4MoW7O20